Entry from the Materials Project: crystalline Zn3P2 at its relaxed geometry (PBE).

```
Zn3P2
1.0
8.1207 0.0000 0.0000
0.0000 8.1207 0.0000
0.0000 0.0000 11.4666
Zn P
24 16
direct
0.0032 0.7500 0.1018
0.0330 0.2500 0.6352
0.0329 0.7500 0.6438
0.2500 0.0330 0.1352
0.2500 0.4670 0.1352
0.2500 0.5032 0.3982
0.2500 0.5329 0.8562
0.2500 0.9671 0.8562
0.2500 0.9968 0.3982
0.4670 0.2500 0.6352
0.4671 0.7500 0.6438
0.4968 0.7500 0.1018
0.5032 0.2500 0.8982
0.5329 0.2500 0.3562
0.5330 0.7500 0.3648
0.7500 0.0032 0.6018
0.7500 0.0329 0.1438
0.7500 0.4671 0.1438
0.7500 0.4968 0.6018
0.7500 0.5330 0.8648
0.7500 0.9670 0.8648
0.9671 0.2500 0.3562
0.9670 0.7500 0.3648
0.9968 0.2500 0.8982
0.0044 0.5044 0.2500
0.0044 0.9956 0.2500
0.2500 0.2500 0.4958
0.2500 0.2500 0.9958
0.2500 0.7500 0.5039
0.2500 0.7500 0.9961
0.4956 0.5044 0.2500
0.4956 0.9956 0.2500
0.5044 0.0044 0.7500
0.5044 0.4956 0.7500
0.7500 0.2500 0.0039
0.7500 0.2500 0.4961
0.7500 0.7500 0.0042
0.7500 0.7500 0.5042
0.9956 0.0044 0.7500
0.9956 0.4956 0.7500
```

Values from the calculation:
For the formation enthalpy at 0 K, the calculation gives -91 kJ/mol of formula units. Its energy above the lowest structure with this stoichiometry is 0.0000 eV/atom. The volume comes out at 18.9 Å³/atom.